1.
A plane-wave DFT calculation with meta-GGA r2SCAN was carried out for an optimized crystal structure of O.

calculated formation energy: 0.019 eV/atom
offset from the most stable computed form: 19 meV/atom

Cell lengths 3.2466, 3.2466, 4.1464 Å; angles 112.18, 112.18, 89.46 degrees
Positions (direct):
O 0.0722 0.0722 0.1735
O 0.9278 0.9278 0.8265

2.
A plane-wave DFT calculation with meta-GGA r2SCAN was carried out for an optimized crystal structure of O.

calculated formation energy: 0.165 eV/atom
offset from the most stable computed form: 165 meV/atom

Cell lengths 4.1243, 3.0036, 4.0951 Å; angles 70.19, 90.00, 90.00 degrees
Positions (direct):
O 0.3206 0.3236 0.3415
O 0.3206 0.1764 0.6585
O 0.6794 0.6764 0.6585
O 0.6794 0.8236 0.3415

3.
A plane-wave DFT calculation with meta-GGA r2SCAN was carried out for an optimized crystal structure of O.

calculated formation energy: 0.012 eV/atom
offset from the most stable computed form: 12 meV/atom

Cell lengths 3.3006, 3.3006, 4.3629 Å; angles 61.70, 61.70, 60.49 degrees
Positions (direct):
O 0.9745 0.9745 0.1556
O 0.0255 0.0255 0.8444

4.
A plane-wave DFT calculation with meta-GGA r2SCAN was carried out for an optimized crystal structure of O.

calculated formation energy: 0.004 eV/atom
offset from the most stable computed form: 4 meV/atom

Cell lengths 5.6898, 5.6898, 4.2562 Å; angles 67.89, 67.89, 76.60 degrees
Positions (direct):
O 0.6934 0.2321 0.1636
O 0.7679 0.3066 0.8364
O 0.3066 0.7679 0.8364
O 0.2321 0.6934 0.1636
O 0.7299 0.7299 0.1589
O 0.2701 0.2701 0.8411
O 0.8048 0.8048 0.8317
O 0.1952 0.1952 0.1683

5.
A plane-wave DFT calculation with meta-GGA r2SCAN was carried out for an optimized crystal structure of O.

calculated formation energy: 0.168 eV/atom
offset from the most stable computed form: 168 meV/atom

Cell lengths 4.1347, 3.0062, 4.1169 Å; angles 70.56, 90.00, 90.00 degrees
Positions (direct):
O 0.3211 0.3215 0.3427
O 0.3211 0.1785 0.6573
O 0.6789 0.6785 0.6573
O 0.6789 0.8215 0.3427

6.
A plane-wave DFT calculation with meta-GGA r2SCAN was carried out for an optimized crystal structure of O.

calculated formation energy: 0.028 eV/atom
offset from the most stable computed form: 28 meV/atom

Cell lengths 6.4219, 6.4219, 4.2354 Å; angles 66.58, 66.58, 76.14 degrees
Positions (direct):
O 0.6812 0.2510 0.1672
O 0.7490 0.3188 0.8328
O 0.3188 0.7490 0.8328
O 0.2510 0.6812 0.1672
O 0.7438 0.7438 0.1590
O 0.2562 0.2562 0.8410
O 0.8111 0.8111 0.8245
O 0.1889 0.1889 0.1755

no.,final energy (eV per atom)
1,-5.9531
2,-5.8076
3,-5.9607
4,-5.9690
5,-5.8044
6,-5.9446